16
Lattice="-0.018 -5.384 7.187 2.123 -3.208 -2.398 4.006 1.694 1.279" Properties=species:S:1:pos:R:3 comment="CaMg6SnO8 | the Materials Project | GGA-PBE | relaxed" relative_energy_ev_per_atom=0.0000 rho_g_cm3=3.89 dft_energy_ev_per_atom=-5.79 pbc="T T T"
Ca 0.000 0.000 0.000
Mg -0.009 -2.692 3.594
Mg 3.055 -3.449 3.034
Mg 1.998 -0.598 2.569
Mg 1.989 -3.092 5.897
Mg 1.056 -3.049 0.730
Mg 1.048 -5.543 4.059
Sn 3.064 -0.757 -0.559
O -0.005 -1.436 1.917
O -0.013 -3.948 5.271
O 3.059 -2.240 1.421
O 3.051 -4.658 4.648
O 2.003 0.847 0.640
O 1.994 -1.845 4.233
O 1.061 -1.604 -1.199
O 1.052 -4.296 2.394